! PBE with a Hubbard U Al3CrO6, relaxed; values from VASP
! E (MP2020) = -8.206 eV/atom
! E = -7.59 eV/atom
! density = 4.165 g cm⁻³
&SYSTEM
  ibrav = 0, nat = 40, ntyp = 3
/
ATOMIC_SPECIES
Cr 52.00 Cr.upf
O 16.00 O.upf
Al 26.98 Al.upf
CELL_PARAMETERS angstrom
5.084 1.144 4.918
4.909 2.062 -4.796
-6.498 5.368 0.625
ATOMIC_POSITIONS crystal
Cr 0.027 0.027 0.352
Cr 0.777 0.277 0.852
Cr 0.527 0.527 0.352
Cr 0.277 0.777 0.852
O 0.798 0.951 0.407
O 0.230 0.028 0.245
O 0.448 0.811 0.406
O 0.030 0.718 0.247
O 0.698 0.561 0.906
O 0.548 0.201 0.907
O 0.048 0.701 0.907
O 0.295 0.454 0.094
O 0.781 0.968 0.747
O 0.045 0.704 0.594
O 0.480 0.778 0.745
O 0.795 0.954 0.094
O 0.210 0.048 0.608
O 0.198 0.061 0.906
O 0.281 0.468 0.747
O 0.980 0.278 0.745
O 0.460 0.798 0.108
O 0.298 0.451 0.407
O 0.710 0.548 0.608
O 0.948 0.311 0.406
O 0.545 0.204 0.595
O 0.960 0.298 0.108
O 0.530 0.218 0.247
O 0.730 0.528 0.245
Al 0.475 0.475 0.650
Al 0.975 0.975 0.650
Al 0.723 0.723 0.149
Al 0.029 0.529 0.353
Al 0.473 0.973 0.649
Al 0.529 0.029 0.353
Al 0.779 0.779 0.853
Al 0.223 0.223 0.149
Al 0.973 0.473 0.649
Al 0.279 0.279 0.853
Al 0.225 0.725 0.150
Al 0.725 0.225 0.150